KMgRuO3: optimized geometry, PBE.

Output
Energy with MP2020 corrections: -5.674 eV per atom
Energy of formation: -1203 meV/atom
Calculated density: 4.15 g/cm³
Magnetic moment: 0.70 Bohr magnetons per cell

Structure (POSCAR):
```
KMgRuO3
1.0
-1.624 0.948 -3.575
-4.748 -0.007 2.156
0.387 3.927 0.865
O Ru Mg K
3 1 1 1
direct
0.000 0.500 0.500 O
0.500 0.000 0.500 O
0.500 0.500 0.000 O
0.500 0.500 0.500 Ru
0.000 0.500 0.000 Mg
0.000 0.000 0.000 K
```